Entry 1:
! YVFe11 | the Materials Project database | PBE-GGA | optimized geometry; values from VASP
! **Total magnetic moment**: 20.4 μB per formula unit
! **Formation enthalpy at 0 K**: -5.5 kJ per mole of atoms
! **Calculated volume**: 167.8 Å³/cell
&SYSTEM
  ibrav = 0, nat = 13, ntyp = 3
/
ATOMIC_SPECIES
Y 88.91 Y.upf
V 50.94 V.upf
Fe 55.84 Fe.upf
CELL_PARAMETERS angstrom
0.576 4.482 1.241
5.699 0.937 2.818
2.133 -1.071 -5.967
ATOMIC_POSITIONS crystal
Y 0.005 0.995 0.005
V 0.631 0.369 0.631
Fe 0.501 0.000 0.501
Fe 0.001 0.000 0.501
Fe 0.501 0.499 0.000
Fe 0.001 0.499 0.000
Fe 0.729 0.771 0.229
Fe 0.271 0.229 0.771
Fe 0.500 0.776 0.775
Fe 0.500 0.225 0.224
Fe 0.363 0.637 0.363
Fe 0.999 0.359 0.358
Fe 0.999 0.642 0.641



Entry 2:
! Fe74W13 | the Materials Project database | PBE-GGA | optimized geometry; values from VASP
! **Total magnetic moment**: 140.7 μB per formula unit
! **Formation enthalpy at 0 K**: 5.8 kJ per mole of atoms
! **Calculated volume**: 1047.9 Å³/cell
&SYSTEM
  ibrav = 0, nat = 87, ntyp = 2
/
ATOMIC_SPECIES
Fe 55.84 Fe.upf
W 183.84 W.upf
CELL_PARAMETERS angstrom
0.099 3.768 6.697
3.773 -6.653 0.746
17.950 7.075 -1.308
ATOMIC_POSITIONS crystal
Fe 0.709 0.523 0.333
Fe 0.042 0.857 0.667
Fe 0.376 0.190 0.000
Fe 0.645 0.270 0.270
Fe 0.979 0.603 0.603
Fe 0.312 0.937 0.937
Fe 0.249 0.873 0.063
Fe 0.582 0.207 0.396
Fe 0.916 0.540 0.730
Fe 0.523 0.709 0.333
Fe 0.857 0.042 0.667
Fe 0.190 0.376 0.000
Fe 0.873 0.249 0.063
Fe 0.207 0.582 0.396
Fe 0.540 0.916 0.730
Fe 0.270 0.645 0.270
Fe 0.603 0.979 0.603
Fe 0.937 0.312 0.937
Fe 0.687 0.687 0.062
Fe 0.020 0.020 0.395
Fe 0.353 0.353 0.729
Fe 0.750 0.939 0.125
Fe 0.083 0.273 0.458
Fe 0.416 0.606 0.792
Fe 0.939 0.750 0.125
Fe 0.273 0.083 0.458
Fe 0.606 0.416 0.792
Fe 0.082 0.082 0.272
Fe 0.415 0.415 0.605
Fe 0.748 0.748 0.938
Fe 0.398 0.208 0.208
Fe 0.731 0.541 0.541
Fe 0.065 0.875 0.875
Fe 0.208 0.398 0.208
Fe 0.541 0.731 0.541
Fe 0.875 0.065 0.875
Fe 0.000 0.000 0.000
Fe 0.333 0.333 0.333
Fe 0.735 0.011 0.333
Fe 0.067 0.344 0.667
Fe 0.402 0.678 0.000
Fe 0.509 0.107 0.107
Fe 0.843 0.441 0.441
Fe 0.176 0.775 0.774
Fe 0.950 0.548 0.226
Fe 0.283 0.882 0.559
Fe 0.617 0.215 0.893
Fe 0.011 0.735 0.333
Fe 0.344 0.067 0.667
Fe 0.678 0.402 0.000
Fe 0.548 0.950 0.226
Fe 0.882 0.283 0.559
Fe 0.215 0.617 0.893
Fe 0.107 0.509 0.107
Fe 0.441 0.843 0.441
Fe 0.775 0.176 0.774
Fe 0.839 0.839 0.241
Fe 0.173 0.173 0.576
Fe 0.506 0.506 0.907
Fe 0.732 0.410 0.134
Fe 0.066 0.742 0.467
Fe 0.399 0.077 0.800
Fe 0.410 0.732 0.134
Fe 0.742 0.066 0.467
Fe 0.077 0.399 0.800
Fe 0.414 0.414 0.092
Fe 0.747 0.747 0.426
Fe 0.082 0.082 0.758
Fe 0.878 0.199 0.199
Fe 0.211 0.533 0.533
Fe 0.543 0.866 0.866
Fe 0.199 0.878 0.199
Fe 0.533 0.211 0.533
Fe 0.866 0.543 0.866
W 0.966 0.333 0.333
W 0.295 0.667 0.667
W 0.633 0.000 0.000
W 0.000 0.633 0.000
W 0.333 0.966 0.333
W 0.667 0.295 0.667
W 0.578 0.578 0.211
W 0.915 0.915 0.543
W 0.244 0.244 0.878
W 0.122 0.122 0.122
W 0.455 0.455 0.455
W 0.790 0.790 0.791
W 0.667 0.667 0.667



Entry 3:
! Fe3W | the Materials Project database | PBE-GGA | optimized geometry; values from VASP
! **Total magnetic moment**: 1.4 μB per formula unit
! **Formation enthalpy at 0 K**: 6.7 kJ per mole of atoms
! **Calculated volume**: 94.4 Å³/cell
&SYSTEM
  ibrav = 0, nat = 8, ntyp = 2
/
ATOMIC_SPECIES
Fe 55.84 Fe.upf
W 183.84 W.upf
CELL_PARAMETERS angstrom
-3.307 1.513 -3.619
3.072 -4.020 -0.851
-2.875 -2.530 1.570
ATOMIC_POSITIONS crystal
Fe 0.161 0.322 0.250
Fe 0.678 0.839 0.250
Fe 0.161 0.839 0.250
Fe 0.839 0.678 0.750
Fe 0.322 0.161 0.750
Fe 0.839 0.161 0.750
W 0.333 0.667 0.750
W 0.667 0.333 0.250



Entry 4:
! Fe3W | the Materials Project database | PBE-GGA | optimized geometry; values from VASP
! **Formation enthalpy at 0 K**: 6.3 kJ per mole of atoms
! **Calculated volume**: 47.3 Å³/cell
&SYSTEM
  ibrav = 0, nat = 4, ntyp = 2
/
ATOMIC_SPECIES
Fe 55.84 Fe.upf
W 183.84 W.upf
CELL_PARAMETERS angstrom
3.616 0.000 0.000
0.000 3.616 0.000
0.000 0.000 3.616
ATOMIC_POSITIONS crystal
Fe 0.000 0.500 0.500
Fe 0.500 0.000 0.500
Fe 0.500 0.500 0.000
W 0.000 0.000 0.000